[1]
A relaxed Cs4UGe8O20 crystal, computed with GGA-PBE.

space-group type: P2_1/c, No. 14

Lattice parameters (Å, degrees): 7.547 12.546 14.500 90.00 121.16 90.00
Atoms (fractional coordinates):
Cs 0.167 0.076 0.166
Cs 0.167 0.424 0.666
Cs 0.191 0.059 0.678
Cs 0.191 0.441 0.178
Cs 0.809 0.559 0.822
Cs 0.809 0.941 0.322
Cs 0.833 0.576 0.334
Cs 0.833 0.924 0.834
U 0.500 0.000 0.500
U 0.500 0.500 0.000
Ge 0.144 0.235 0.426
Ge 0.144 0.265 0.926
Ge 0.251 0.723 0.805
Ge 0.251 0.777 0.305
Ge 0.297 0.729 0.100
Ge 0.297 0.771 0.600
Ge 0.464 0.608 0.497
Ge 0.464 0.892 0.997
Ge 0.536 0.108 0.003
Ge 0.536 0.392 0.503
Ge 0.703 0.229 0.400
Ge 0.703 0.271 0.900
Ge 0.749 0.223 0.695
Ge 0.749 0.277 0.195
Ge 0.856 0.735 0.074
Ge 0.856 0.765 0.574
O 0.022 0.204 0.796
O 0.022 0.296 0.296
O 0.023 0.750 0.020
O 0.023 0.750 0.520
O 0.204 0.101 0.425
O 0.204 0.399 0.925
O 0.239 0.700 0.403
O 0.239 0.800 0.903
O 0.332 0.006 0.913
O 0.332 0.494 0.413
O 0.356 0.705 0.237
O 0.356 0.795 0.737
O 0.357 0.189 0.023
O 0.357 0.311 0.523
O 0.358 0.595 0.846
O 0.358 0.905 0.346
O 0.370 0.609 0.069
O 0.370 0.891 0.569
O 0.435 0.652 0.610
O 0.435 0.848 0.110
O 0.565 0.152 0.890
O 0.565 0.348 0.390
O 0.630 0.109 0.431
O 0.630 0.391 0.931
O 0.642 0.095 0.654
O 0.642 0.405 0.154
O 0.643 0.689 0.477
O 0.643 0.811 0.977
O 0.644 0.205 0.263
O 0.644 0.295 0.763
O 0.668 0.506 0.587
O 0.668 0.994 0.087
O 0.761 0.200 0.097
O 0.761 0.300 0.597
O 0.796 0.601 0.075
O 0.796 0.899 0.575
O 0.977 0.250 0.480
O 0.977 0.250 0.980
O 0.978 0.704 0.704
O 0.978 0.796 0.204

---

[2]
A relaxed Cs5GeP3 crystal, computed with GGA-PBE.

space-group type: Pnma, No. 62

Lattice parameters (Å, degrees): 14.544 6.032 15.976 90.00 90.00 90.00
Atoms (fractional coordinates):
Cs 0.048 0.250 0.149
Cs 0.061 0.250 0.450
Cs 0.116 0.250 0.689
Cs 0.146 0.750 0.049
Cs 0.226 0.750 0.794
Cs 0.274 0.250 0.294
Cs 0.354 0.250 0.549
Cs 0.384 0.750 0.189
Cs 0.439 0.750 0.950
Cs 0.452 0.750 0.649
Cs 0.548 0.250 0.351
Cs 0.561 0.250 0.050
Cs 0.616 0.250 0.811
Cs 0.646 0.750 0.451
Cs 0.726 0.750 0.706
Cs 0.774 0.250 0.206
Cs 0.854 0.250 0.951
Cs 0.884 0.750 0.311
Cs 0.939 0.750 0.550
Cs 0.952 0.750 0.851
Ge 0.239 0.750 0.436
Ge 0.261 0.250 0.936
Ge 0.739 0.750 0.064
Ge 0.761 0.250 0.564
P 0.105 0.250 0.913
P 0.135 0.750 0.328
P 0.193 0.750 0.573
P 0.307 0.250 0.073
P 0.365 0.250 0.828
P 0.395 0.750 0.413
P 0.605 0.250 0.587
P 0.635 0.750 0.172
P 0.693 0.750 0.927
P 0.807 0.250 0.427
P 0.865 0.250 0.672
P 0.895 0.750 0.087

---

Number 1: calculated volume 17.80 A^3/atom, formation enthalpy at 0 K -2.317 eV per atom. Number 2: calculated volume 38.94 A^3/atom, formation enthalpy at 0 K -0.300 eV per atom.